Version i
# MgCu6OF11 (PBE-GGA, optimized geometry)
data_MgCu6OF11
_chemical_formula_sum 'Mg1 Cu6 O1 F11'
_symmetry_space_group_name_H-M 'P 1'
_symmetry_Int_Tables_number 1
_cell_length_a 4.872
_cell_length_b 5.609
_cell_length_c 8.339
_cell_angle_alpha 90.38
_cell_angle_beta 94.22
_cell_angle_gamma 96.23
loop_
_symmetry_equiv_pos_as_xyz
'x,y,z'
loop_
_atom_site_label
_atom_site_fract_x
_atom_site_fract_y
_atom_site_fract_z
Mg1 0.000 0.000 0.000
Cu1 0.309 0.315 0.423
Cu2 0.367 0.981 0.727
Cu3 0.376 0.643 0.108
Cu4 0.664 0.284 0.183
Cu5 0.821 0.774 0.416
Cu6 0.857 0.488 0.754
O1 0.553 0.534 0.312
F1 0.042 0.534 0.512
F2 0.074 0.792 0.180
F3 0.084 0.204 0.819
F4 0.102 0.267 0.153
F5 0.107 0.024 0.502
F6 0.151 0.739 0.871
F7 0.566 0.268 0.644
F8 0.605 0.015 0.013
F9 0.611 0.032 0.342
F10 0.645 0.766 0.685
F11 0.655 0.504 0.990
# magnetic moment = 0.158 μB per atom

---

Version ii
# MgCu6OF11 (PBE-GGA, optimized geometry)
data_MgCu6OF11
_chemical_formula_sum 'Mg1 Cu6 O1 F11'
_symmetry_space_group_name_H-M 'P 1'
_symmetry_Int_Tables_number 1
_cell_length_a 4.995
_cell_length_b 5.580
_cell_length_c 8.318
_cell_angle_alpha 84.01
_cell_angle_beta 85.63
_cell_angle_gamma 85.14
loop_
_symmetry_equiv_pos_as_xyz
'x,y,z'
loop_
_atom_site_label
_atom_site_fract_x
_atom_site_fract_y
_atom_site_fract_z
Mg1 0.000 0.000 0.000
Cu1 0.011 0.997 0.496
Cu2 0.026 0.374 0.201
Cu3 0.495 0.500 0.507
Cu4 0.515 0.119 0.816
Cu5 0.517 0.827 0.157
Cu6 0.941 0.624 0.815
O1 0.688 0.839 0.933
F1 0.170 0.675 0.088
F2 0.184 0.947 0.783
F3 0.203 0.275 0.423
F4 0.295 0.162 0.081
F5 0.299 0.441 0.732
F6 0.308 0.796 0.401
F7 0.698 0.538 0.282
F8 0.714 0.206 0.580
F9 0.807 0.309 0.910
F10 0.817 0.723 0.581
F11 0.824 0.054 0.219
# magnetic moment = 0.158 μB per atom

---

Stability check: which of them is most stable? version i.